1.
The following is a GGA+U calculation of crystalline VFe3Co2P6O24 at its relaxed geometry, from the Materials Project.

Structure (extended XYZ):
```
36
Lattice="4.313 2.490 6.811 -4.313 2.490 6.811 0.000 -4.980 6.811" Properties=species:S:1:pos:R:3 pbc="T T T"
V 0.000 0.000 0.000
Fe 0.000 0.000 5.888
Fe 0.000 0.000 10.199
Fe 0.000 0.000 16.095
Co 0.000 0.000 2.960
Co 0.000 0.000 13.169
P -2.551 0.007 8.026
P -1.776 -2.479 11.442
P 1.269 -2.213 8.026
P -1.259 2.777 11.442
P 1.282 2.205 8.026
P 3.035 -0.299 11.442
O -2.619 -2.389 10.187
O -0.654 -1.365 4.453
O -3.501 1.264 8.184
O -2.681 -2.569 12.694
O -1.701 0.083 6.773
O -0.855 1.249 4.453
O 0.656 -3.664 8.184
O -1.717 0.001 9.301
O 0.778 -1.515 6.773
O -0.881 -1.222 11.694
O 1.509 0.116 4.453
O 0.858 -1.487 9.301
O 0.923 1.431 6.773
O -1.499 0.087 14.652
O -0.618 1.374 11.694
O -0.759 3.463 10.187
O 0.859 1.486 9.301
O 0.674 -1.342 14.652
O 1.499 -0.152 11.694
O -0.885 3.606 12.694
O 3.379 -1.074 10.187
O 2.845 2.400 8.184
O 0.825 1.255 14.652
O 3.566 -1.037 12.694
```

Properties
Space group: R3, No. 146
Calculated formation energy (eV/f.u.): -82.27
Total moment (μB per cell): 23.00

2.
The following is a GGA+U calculation of crystalline Mn2FeO4 at its relaxed geometry, from the Materials Project.

Structure (extended XYZ):
```
14
Lattice="-2.997 2.998 4.525 2.997 -2.998 4.525 2.997 2.998 -4.525" Properties=species:S:1:pos:R:3 pbc="T T T"
Mn 0.000 0.000 0.000
Mn -1.498 1.499 2.262
Mn 0.000 2.998 0.000
Mn 1.498 1.499 2.262
Fe 2.997 1.499 -1.106
Fe 0.000 1.499 5.631
O 1.443 1.499 -0.020
O 1.554 -1.499 4.505
O 2.997 0.129 2.260
O 0.000 0.129 2.265
O 2.997 2.869 2.260
O 0.000 2.869 2.265
O 1.443 4.497 0.020
O 1.554 1.499 4.545
```

Properties
Space group: Imma, No. 74
Energy above the lowest structure with this stoichiometry (eV/f.u.): 0.683
Calculated formation energy (eV/f.u.): -12.63
Total moment (μB per cell): 28.00

3.
The following is a GGA+U calculation of crystalline Sr2MnTeO6 at its relaxed geometry, from the Materials Project.

Structure (extended XYZ):
```
20
Lattice="5.769 0.000 0.000 0.000 5.770 0.000 -5.744 0.000 8.118" Properties=species:S:1:pos:R:3 pbc="T T T"
Sr -0.022 0.140 2.028
Sr -2.894 2.745 6.087
Sr 2.919 3.025 2.031
Sr 0.047 5.630 6.091
Mn 2.885 0.000 0.000
Mn 0.013 2.885 4.059
Te -2.872 0.000 4.059
Te 0.000 2.885 0.000
O -4.562 1.343 7.840
O -1.690 1.542 3.781
O -4.214 4.083 7.846
O -1.342 4.572 3.786
O -2.498 0.070 5.984
O 0.373 2.815 1.925
O -0.348 2.955 6.193
O 2.524 5.700 2.134
O 1.367 1.198 4.332
O 4.239 1.687 0.273
O 1.715 4.228 4.337
O 4.587 4.427 0.278
```

Properties
Space group: P2_1/c, No. 14
Calculated formation energy (eV/f.u.): -25.12
Total moment (μB per cell): 0.00

4.
The following is a GGA+U calculation of crystalline Fe4PbC16O16 at its relaxed geometry, from the Materials Project.

Structure (extended XYZ):
```
148
Lattice="11.054 0.000 0.000 0.000 19.988 0.000 -0.150 0.000 12.056" Properties=species:S:1:pos:R:3 pbc="T T T"
Fe 0.342 2.084 3.261
Fe 0.267 7.910 9.289
Fe 1.788 10.437 8.796
Fe 1.863 19.545 2.768
Fe 4.770 3.216 1.452
Fe 4.695 6.779 7.480
Fe 5.051 2.999 4.343
Fe 4.976 6.995 10.371
Fe 5.928 12.993 1.685
Fe 5.853 16.989 7.713
Fe 6.209 13.210 4.576
Fe 6.134 16.773 10.604
Fe 9.041 0.443 9.289
Fe 9.116 9.551 3.261
Fe 10.637 12.078 2.767
Fe 10.562 17.905 8.795
Pb 2.976 1.979 3.012
Pb 2.901 8.015 9.041
Pb 8.003 11.974 3.016
Pb 7.928 18.009 9.044
C 0.031 3.795 3.646
C -0.044 6.199 9.674
C 0.353 2.505 1.502
C 0.278 7.489 7.530
C 0.376 11.551 8.851
C 0.451 18.431 2.823
C 0.619 1.728 5.016
C 0.544 8.267 11.044
C 1.163 11.236 2.840
C 1.088 18.746 8.868
C 1.594 10.047 7.038
C 1.669 19.936 1.010
C 2.167 10.647 10.551
C 2.242 19.336 4.523
C 3.186 11.438 8.384
C 3.261 18.544 2.356
C 3.570 4.572 1.561
C 3.495 5.422 7.589
C 3.996 4.457 4.303
C 3.921 5.538 10.332
C 3.936 2.626 11.977
C 4.011 7.368 5.948
C 4.319 13.776 1.764
C 4.244 16.207 7.792
C 4.718 2.800 6.069
C 4.793 7.194 0.041
C 4.752 14.227 4.843
C 4.677 15.756 10.871
C 5.305 11.648 4.574
C 5.229 18.335 10.602
C 5.358 11.279 1.718
C 5.283 18.704 7.746
C 5.621 1.285 4.310
C 5.546 8.709 10.338
C 5.675 1.654 1.454
C 5.600 8.341 7.482
C 6.227 4.233 1.185
C 6.152 5.762 7.213
C 6.111 12.794 12.015
C 6.186 17.189 5.987
C 6.660 3.781 4.265
C 6.585 6.213 10.293
C 6.893 12.620 6.108
C 6.968 17.363 0.080
C 6.984 14.451 1.725
C 6.909 15.532 7.753
C 7.409 14.566 4.467
C 7.334 15.417 10.495
C 7.643 1.444 9.700
C 7.718 8.550 3.672
C 8.663 0.653 7.533
C 8.738 9.342 1.505
C 9.235 0.052 11.046
C 9.310 9.942 5.018
C 9.816 1.242 3.188
C 9.741 8.752 9.216
C 10.360 11.722 1.012
C 10.285 18.261 7.040
C 10.453 1.557 9.234
C 10.528 8.437 3.205
C 10.627 12.500 4.526
C 10.551 17.483 10.554
C 10.948 13.790 2.382
C 10.873 16.193 8.410
O 0.115 14.903 2.137
O 0.040 15.080 8.165
O 0.300 2.847 0.390
O 0.225 7.147 6.418
O 0.272 2.316 9.196
O 0.347 7.678 3.168
O 0.744 1.572 6.161
O 0.819 8.422 0.133
O 1.458 0.088 11.914
O 1.533 9.906 5.886
O 2.205 10.729 2.892
O 2.130 19.253 8.920
O 2.454 10.896 11.650
O 2.529 19.087 5.621
O 2.690 4.584 7.595
O 2.765 5.410 1.567
O 3.164 4.657 10.398
O 3.239 5.338 4.370
O 3.269 14.273 1.774
O 3.194 15.709 7.802
O 3.527 2.154 10.999
O 3.602 7.840 4.971
O 3.797 14.867 5.014
O 3.722 15.116 11.042
O 4.078 12.126 8.096
O 4.153 17.857 2.067
O 4.541 2.682 7.210
O 4.616 7.312 1.182
O 4.772 10.625 4.721
O 4.697 19.358 10.749
O 5.011 10.173 1.637
O 4.936 19.809 7.665
O 5.969 0.179 4.391
O 5.894 9.815 10.419
O 6.207 0.631 1.307
O 6.132 9.364 7.335
O 6.289 12.677 10.874
O 6.364 17.306 4.846
O 6.751 2.132 9.989
O 6.826 7.862 3.961
O 7.182 4.872 1.014
O 7.107 5.122 7.042
O 7.302 12.148 7.086
O 7.377 17.835 1.058
O 7.710 4.279 4.254
O 7.635 5.715 10.282
O 7.665 14.651 7.687
O 7.740 15.332 1.659
O 8.139 14.578 10.489
O 8.214 15.404 4.461
O 8.375 0.902 6.435
O 8.450 9.093 0.407
O 8.774 0.735 3.136
O 8.699 9.259 9.164
O 9.371 10.082 6.170
O 9.446 19.900 0.142
O 10.085 11.566 11.923
O 10.160 18.417 5.895
O 10.557 12.310 8.889
O 10.632 17.672 2.860
O 10.679 12.841 5.638
O 10.604 17.142 11.666
O 10.864 4.908 3.891
O 10.789 5.086 9.919
```

Properties
Space group: P2_1/c, No. 14
Calculated formation energy (eV/f.u.): -21.32
Total moment (μB per cell): 0.00

5.
The following is a GGA+U calculation of crystalline LiFeF4 at its relaxed geometry, from the Materials Project.

Structure (extended XYZ):
```
24
Lattice="6.433 0.000 0.000 0.000 3.056 0.000 0.000 0.000 15.496" Properties=species:S:1:pos:R:3 pbc="T T T"
Li 1.008 0.764 2.331
Li 2.208 2.292 10.079
Li 4.224 0.764 5.417
Li 5.425 2.292 13.165
Fe 1.008 2.292 5.720
Fe 2.208 0.764 13.468
Fe 4.225 2.292 2.028
Fe 5.425 0.764 9.776
F 0.292 0.764 13.484
F 0.895 0.764 9.911
F 0.990 0.764 6.968
F 1.049 0.764 4.382
F 2.167 2.292 12.130
F 2.227 2.292 14.716
F 2.321 2.292 2.163
F 2.924 2.292 5.736
F 3.509 0.764 9.760
F 4.112 0.764 13.333
F 4.206 0.764 0.780
F 4.265 0.764 3.366
F 5.384 2.292 11.114
F 5.443 2.292 8.528
F 5.538 2.292 5.585
F 6.141 2.292 2.012
```

Properties
Space group: Pnma, No. 62
Energy above the lowest structure with this stoichiometry (eV/f.u.): 0.154
Calculated formation energy (eV/f.u.): -16.79
Total moment (μB per cell): 20.00

6.
The following is a GGA+U calculation of crystalline LiCo3Si2O8 at its relaxed geometry, from the Materials Project.

Structure (extended XYZ):
```
42
Lattice="5.029 0.000 0.000 -0.156 8.809 0.000 -2.079 -4.394 12.470" Properties=species:S:1:pos:R:3 pbc="T T T"
Li 0.000 0.000 0.000
Li 0.072 3.654 2.122
Li 0.109 3.481 8.456
Co 0.236 6.441 4.439
Co 0.399 0.515 6.290
Co 0.664 -2.927 10.630
Co 2.173 7.975 1.982
Co 2.740 4.489 0.068
Co 2.315 2.152 3.915
Co 2.975 5.182 6.228
Co 2.649 1.743 10.087
Co 3.084 -0.650 8.165
Si -1.851 -1.192 11.371
Si -0.148 0.478 3.213
Si 0.593 -2.325 7.477
Si 0.195 2.993 11.427
Si 2.625 5.082 3.124
Si 2.751 2.200 7.110
O -1.206 0.957 7.294
O -1.031 -2.159 7.254
O -0.086 -0.436 4.586
O -1.125 -2.651 11.092
O -0.829 2.889 10.162
O 0.884 3.907 0.214
O 1.389 7.597 0.324
O 1.417 0.777 2.734
O 1.085 5.755 6.146
O 1.597 3.836 3.419
O 1.674 6.448 3.040
O 0.733 5.569 8.809
O 1.211 -0.810 7.592
O 1.816 1.847 5.772
O 1.186 1.665 11.457
O 1.758 2.234 8.419
O 1.222 4.289 11.292
O 1.556 -1.513 11.631
O 3.506 4.806 1.792
O 4.137 -0.327 1.982
O 3.661 5.320 4.386
O 4.139 1.917 3.460
O 3.628 3.564 6.966
O 3.268 -0.176 10.063
```

Properties
Space group: P1, No. 1
Calculated formation energy (eV/f.u.): -30.95
Total moment (μB per cell): 30.00

7.
The following is a GGA+U calculation of crystalline Co11CuO16 at its relaxed geometry, from the Materials Project.

Structure (extended XYZ):
```
28
Lattice="5.880 0.000 0.000 0.000 5.915 0.000 -0.029 0.000 8.322" Properties=species:S:1:pos:R:3 pbc="T T T"
Co 0.000 0.000 0.000
Co -0.014 2.958 4.161
Co 1.440 0.000 5.214
Co 1.449 1.477 2.071
Co 1.449 4.438 2.071
Co 1.443 2.958 7.318
Co 2.926 2.958 4.161
Co 4.408 2.958 1.004
Co 4.412 0.000 3.108
Co 4.403 1.477 6.250
Co 4.403 4.438 6.250
Cu 2.940 0.000 0.000
O 0.089 2.958 2.123
O 0.114 0.000 1.927
O 1.410 1.326 0.089
O 1.410 4.589 0.089
O 1.453 1.584 4.070
O 1.453 4.331 4.070
O 2.796 2.958 2.128
O 2.823 0.000 2.014
O 3.028 0.000 6.308
O 3.056 2.958 6.194
O 4.399 1.584 4.252
O 4.399 4.331 4.252
O 4.442 1.326 8.233
O 4.442 4.589 8.233
O 5.738 0.000 6.395
O 5.762 2.958 6.199
```

Properties
Space group: P2/m, No. 10
Calculated formation energy (eV/f.u.): -35.52
Total moment (μB per cell): 14.00

8.
The following is a GGA+U calculation of crystalline Ni3Ag2P3HO12 at its relaxed geometry, from the Materials Project.

Structure (extended XYZ):
```
42
Lattice="-6.740 3.289 5.355 6.740 -3.289 5.355 6.740 3.289 -5.355" Properties=species:S:1:pos:R:3 pbc="T T T"
Ni 0.000 0.000 0.000
Ni 6.740 0.000 0.000
Ni 5.019 1.614 -2.600
Ni 8.462 -1.675 2.755
Ni 1.721 1.675 2.755
Ni 5.019 1.675 2.755
Ag 3.370 -0.685 5.641
Ag 0.000 3.289 0.016
Ag 0.000 0.000 5.370
Ag 3.370 3.973 0.287
P 3.370 0.433 -0.119
P -0.996 1.643 2.667
P 7.737 1.643 2.667
P 3.370 2.855 5.236
P 0.996 4.934 2.667
P -0.996 1.645 8.021
H 10.110 -0.296 1.998
H 3.370 0.296 1.998
O 8.831 0.378 -0.104
O 11.389 0.378 -0.104
O 6.711 1.407 -1.485
O 6.769 -1.882 3.869
O 3.370 1.589 -1.154
O 1.850 -0.409 2.983
O 4.890 -0.409 2.983
O 3.370 1.144 1.438
O 4.890 3.697 -2.372
O 8.590 0.409 2.983
O 0.065 1.404 1.499
O 6.675 1.404 1.499
O 0.029 1.882 3.869
O 6.711 1.882 3.869
O 3.370 1.700 4.200
O -1.836 2.885 2.317
O 1.836 -0.403 7.671
O 1.836 3.692 2.317
O 4.904 3.692 2.317
O -0.065 5.173 1.499
O 0.065 1.884 6.853
O -4.649 2.911 5.250
O -2.091 2.911 5.250
O 3.370 2.144 6.792
```

Properties
Space group: Ima2, No. 46
Calculated formation energy (eV/f.u.): -39.15
Total moment (μB per cell): 12.00

What did the sixth record say?
The following is a GGA+U calculation of crystalline LiCo3Si2O8 at its relaxed geometry, from the Materials Project.

Structure (extended XYZ):
```
42
Lattice="5.029 0.000 0.000 -0.156 8.809 0.000 -2.079 -4.394 12.470" Properties=species:S:1:pos:R:3 pbc="T T T"
Li 0.000 0.000 0.000
Li 0.072 3.654 2.122
Li 0.109 3.481 8.456
Co 0.236 6.441 4.439
Co 0.399 0.515 6.290
Co 0.664 -2.927 10.630
Co 2.173 7.975 1.982
Co 2.740 4.489 0.068
Co 2.315 2.152 3.915
Co 2.975 5.182 6.228
Co 2.649 1.743 10.087
Co 3.084 -0.650 8.165
Si -1.851 -1.192 11.371
Si -0.148 0.478 3.213
Si 0.593 -2.325 7.477
Si 0.195 2.993 11.427
Si 2.625 5.082 3.124
Si 2.751 2.200 7.110
O -1.206 0.957 7.294
O -1.031 -2.159 7.254
O -0.086 -0.436 4.586
O -1.125 -2.651 11.092
O -0.829 2.889 10.162
O 0.884 3.907 0.214
O 1.389 7.597 0.324
O 1.417 0.777 2.734
O 1.085 5.755 6.146
O 1.597 3.836 3.419
O 1.674 6.448 3.040
O 0.733 5.569 8.809
O 1.211 -0.810 7.592
O 1.816 1.847 5.772
O 1.186 1.665 11.457
O 1.758 2.234 8.419
O 1.222 4.289 11.292
O 1.556 -1.513 11.631
O 3.506 4.806 1.792
O 4.137 -0.327 1.982
O 3.661 5.320 4.386
O 4.139 1.917 3.460
O 3.628 3.564 6.966
O 3.268 -0.176 10.063
```

Properties
Space group: P1, No. 1
Calculated formation energy (eV/f.u.): -30.95
Total moment (μB per cell): 30.00

Which value of total moment does entry 5 give?
20.00 μB per cell

Number 5 is which compound?
LiFeF4